1.
The following is a DFT calculation (PBE with a Hubbard U) of a geometry-optimized Mn3SbP4O16 structure.

abc: 10.086 12.311 11.095
angles: 90.00 115.06 90.00
Space group Cm (No. 8)
Unique sites:
Mn  0.000  0.000  0.000 (multiplicity 2)
Mn  0.019  0.500  0.006 (multiplicity 2)
Mn  0.304  0.248  0.080 (multiplicity 4)
Mn  0.370  0.249  0.571 (multiplicity 4)
Sb  0.079  0.500  0.505 (multiplicity 2)
Sb  0.086  0.000  0.502 (multiplicity 2)
P  0.042  0.259  0.377 (multiplicity 4)
P  0.341  0.500  0.184 (multiplicity 2)
P  0.346  0.000  0.187 (multiplicity 2)
P  0.445  0.500  0.689 (multiplicity 2)
P  0.463  0.250  0.899 (multiplicity 4)
P  0.471  0.000  0.704 (multiplicity 2)
O  0.009  0.404  0.623 (multiplicity 4)
O  0.031  0.000  0.840 (multiplicity 2)
O  0.072  0.500  0.852 (multiplicity 2)
O  0.126  0.247  0.923 (multiplicity 4)
O  0.141  0.368  0.439 (multiplicity 4)
O  0.158  0.171  0.452 (multiplicity 4)
O  0.244  0.400  0.115 (multiplicity 4)
O  0.248  0.100  0.124 (multiplicity 4)
O  0.278  0.500  0.658 (multiplicity 2)
O  0.312  0.000  0.679 (multiplicity 2)
O  0.366  0.250  0.750 (multiplicity 4)
O  0.380  0.500  0.334 (multiplicity 2)
O  0.388  0.000  0.343 (multiplicity 2)
O  0.409  0.243  0.405 (multiplicity 4)
O  0.425  0.349  0.970 (multiplicity 4)
O  0.427  0.150  0.967 (multiplicity 4)
O  0.486  0.500  0.166 (multiplicity 2)
O  0.487  0.402  0.621 (multiplicity 4)
O  0.489  0.000  0.168 (multiplicity 2)
O  0.498  0.245  0.226 (multiplicity 4)

Summary:
As for the total magnetization: 52.0 μB/cell. Its relative energy among the computed polymorphs is 0.000 eV per atom.



2.
The following is a DFT calculation (PBE with a Hubbard U) of a geometry-optimized NaPWO6 structure.

abc: 6.453 12.163 13.733
angles: 90.00 116.87 90.00
Space group P2_1/c (No. 14)
Unique sites:
Na  0.068  0.208  0.122 (multiplicity 4)
Na  0.387  0.682  0.848 (multiplicity 4)
P  0.184  0.114  0.437 (multiplicity 4)
P  0.366  0.541  0.623 (multiplicity 4)
W  0.142  0.103  0.888 (multiplicity 4)
W  0.385  0.603  0.130 (multiplicity 4)
O  0.016  0.169  0.758 (multiplicity 4)
O  0.075  0.582  0.128 (multiplicity 4)
O  0.095  0.538  0.357 (multiplicity 4)
O  0.150  0.616  0.590 (multiplicity 4)
O  0.212  0.237  0.469 (multiplicity 4)
O  0.274  0.676  0.004 (multiplicity 4)
O  0.296  0.070  0.061 (multiplicity 4)
O  0.297  0.085  0.362 (multiplicity 4)
O  0.306  0.052  0.546 (multiplicity 4)
O  0.469  0.106  0.911 (multiplicity 4)
O  0.480  0.706  0.233 (multiplicity 4)
O  0.483  0.523  0.747 (multiplicity 4)

Summary:
As for the total magnetization: 0.0 μB/cell.



3.
The following is a DFT calculation (PBE with a Hubbard U) of a geometry-optimized Li9Mn2Co5O16 structure.

abc: 5.108 5.900 10.077
angles: 90.96 99.61 105.91
Space group P-1 (No. 2)
Unique sites:
Li  0.000  0.000  0.000 (multiplicity 1)
Li  0.493  0.881  0.120 (multiplicity 2)
Li  0.495  0.370  0.629 (multiplicity 2)
Li  0.497  0.371  0.122 (multiplicity 2)
Li  0.497  0.874  0.626 (multiplicity 2)
Mn  0.000  0.000  0.500 (multiplicity 1)
Mn  0.000  0.500  0.000 (multiplicity 1)
Co  0.000  0.500  0.500 (multiplicity 1)
Co  0.001  0.758  0.245 (multiplicity 2)
Co  0.005  0.244  0.243 (multiplicity 2)
O  0.211  0.559  0.677 (multiplicity 2)
O  0.220  0.320  0.929 (multiplicity 2)
O  0.221  0.299  0.447 (multiplicity 2)
O  0.227  0.826  0.431 (multiplicity 2)
O  0.230  0.052  0.680 (multiplicity 2)
O  0.231  0.786  0.938 (multiplicity 2)
O  0.235  0.558  0.178 (multiplicity 2)
O  0.238  0.073  0.195 (multiplicity 2)

Summary:
As for the total magnetization: 10.0 μB/cell. Its relative energy among the computed polymorphs is 0.038 eV per atom.



ΔE_f in eV/atom, matching the order above: -2.40 -2.43 -1.83